Entry 1:
First-principles (GGA-PBE) data for a geometry-optimized Na3CaTaSiP2O12 structure, as listed in the Materials Project database.

Cell lengths 9.263, 9.263, 22.373 Å; angles 90.06, 90.06, 59.62 degrees
Element x y z (fractional)
Na 0.011 0.989 0.500
Na 0.018 0.328 0.589
Na 0.302 0.338 0.167
Na 0.312 0.635 0.582
Na 0.313 0.682 0.917
Na 0.328 0.018 0.089
Na 0.338 0.302 0.667
Na 0.347 0.664 0.252
Na 0.635 0.312 0.082
Na 0.638 0.980 0.248
Na 0.641 0.666 0.834
Na 0.664 0.347 0.752
Na 0.666 0.641 0.334
Na 0.682 0.313 0.417
Na 0.693 0.988 0.921
Na 0.980 0.638 0.748
Na 0.988 0.693 0.421
Na 0.989 0.011 0.000
Ca 0.000 0.001 0.359
Ca 0.001 0.000 0.859
Ca 0.319 0.333 0.025
Ca 0.333 0.319 0.525
Ca 0.651 0.670 0.692
Ca 0.670 0.651 0.192
Ta 0.324 0.330 0.822
Ta 0.330 0.324 0.322
Ta 0.656 0.669 0.489
Ta 0.669 0.656 0.989
Ta 0.986 0.997 0.156
Ta 0.997 0.986 0.656
Si 0.292 0.683 0.763
Si 0.339 0.621 0.429
Si 0.621 0.339 0.929
Si 0.672 0.952 0.095
Si 0.683 0.292 0.263
Si 0.952 0.672 0.595
P 0.010 0.281 0.755
P 0.010 0.692 0.261
P 0.020 0.346 0.428
P 0.020 0.616 0.923
P 0.281 0.010 0.255
P 0.346 0.020 0.928
P 0.351 0.951 0.592
P 0.355 0.680 0.092
P 0.616 0.020 0.423
P 0.680 0.355 0.592
P 0.692 0.010 0.761
P 0.951 0.351 0.092
O 0.027 0.171 0.697
O 0.035 0.798 0.208
O 0.103 0.332 0.487
O 0.115 0.499 0.866
O 0.128 0.544 0.977
O 0.131 0.305 0.084
O 0.132 0.355 0.375
O 0.142 0.519 0.589
O 0.156 0.805 0.705
O 0.171 0.027 0.197
O 0.177 0.802 0.422
O 0.180 0.517 0.261
O 0.182 0.278 0.763
O 0.183 0.942 0.592
O 0.187 0.855 0.093
O 0.209 0.969 0.308
O 0.211 0.770 0.824
O 0.211 0.974 0.921
O 0.278 0.182 0.263
O 0.282 0.503 0.762
O 0.305 0.131 0.584
O 0.324 0.536 0.084
O 0.326 0.537 0.488
O 0.332 0.103 0.987
O 0.355 0.132 0.875
O 0.359 0.481 0.371
O 0.442 0.877 0.649
O 0.449 0.657 0.150
O 0.457 0.830 0.537
O 0.463 0.869 0.249
O 0.465 0.694 0.038
O 0.481 0.359 0.871
O 0.484 0.630 0.756
O 0.499 0.115 0.366
O 0.503 0.282 0.262
O 0.517 0.180 0.761
O 0.519 0.142 0.089
O 0.524 0.615 0.429
O 0.524 0.850 0.926
O 0.536 0.324 0.584
O 0.537 0.326 0.988
O 0.544 0.128 0.477
O 0.615 0.524 0.929
O 0.617 0.849 0.429
O 0.630 0.484 0.256
O 0.644 0.877 0.154
O 0.657 0.449 0.650
O 0.673 0.859 0.752
O 0.691 0.822 0.036
O 0.694 0.465 0.538
O 0.770 0.211 0.324
O 0.780 0.997 0.819
O 0.797 0.978 0.415
O 0.798 0.035 0.708
O 0.802 0.177 0.922
O 0.805 0.156 0.205
O 0.822 0.691 0.536
O 0.830 0.457 0.037
O 0.849 0.617 0.929
O 0.850 0.524 0.426
O 0.852 0.956 0.100
O 0.855 0.187 0.593
O 0.859 0.673 0.252
O 0.869 0.463 0.749
O 0.877 0.442 0.149
O 0.877 0.644 0.654
O 0.942 0.183 0.092
O 0.956 0.852 0.600
O 0.969 0.209 0.808
O 0.974 0.211 0.421
O 0.978 0.797 0.915
O 0.997 0.780 0.319

Values from the calculation:
Magnetization ... 0.00 μB per cell
Crystal system ... monoclinic
SG ... Cc, No. 9
Energy relative to the elements ... -2.890 eV/atom
Calculated volume ... 1656.0 Å³ per cell

Entry 2:
First-principles (GGA-PBE) data for a geometry-optimized Na3CaTaSiP2O12 structure, as listed in the Materials Project database.

Cell lengths 16.067, 9.241, 9.045 Å; angles 90.00, 125.27, 90.00 degrees
Element x y z (fractional)
Na 0.255 0.720 0.989
Na 0.755 0.780 0.489
Na 0.755 0.220 0.989
Na 0.255 0.280 0.489
Na 0.511 0.095 0.752
Na 0.511 0.905 0.252
Na 0.011 0.595 0.752
Na 0.011 0.405 0.252
Na 0.179 0.931 0.307
Na 0.179 0.069 0.807
Na 0.679 0.431 0.307
Na 0.679 0.569 0.807
Ca 0.105 0.746 0.568
Ca 0.105 0.254 0.068
Ca 0.605 0.246 0.568
Ca 0.605 0.754 0.068
Ta 0.895 0.756 0.937
Ta 0.895 0.244 0.437
Ta 0.395 0.256 0.937
Ta 0.395 0.744 0.437
Si 0.651 0.880 0.746
Si 0.651 0.120 0.246
Si 0.151 0.380 0.746
Si 0.151 0.620 0.246
P 0.991 0.958 0.759
P 0.991 0.042 0.259
P 0.491 0.458 0.759
P 0.491 0.542 0.259
P 0.356 0.916 0.756
P 0.356 0.084 0.256
P 0.856 0.416 0.756
P 0.856 0.584 0.256
O 0.157 0.553 0.755
O 0.858 0.588 0.746
O 0.858 0.412 0.246
O 0.157 0.447 0.255
O 0.657 0.053 0.755
O 0.358 0.088 0.746
O 0.358 0.912 0.246
O 0.657 0.947 0.255
O 0.433 0.572 0.593
O 0.555 0.538 0.934
O 0.555 0.462 0.434
O 0.433 0.428 0.093
O 0.933 0.072 0.593
O 0.055 0.038 0.934
O 0.055 0.962 0.434
O 0.933 0.928 0.093
O 0.261 0.874 0.743
O 0.748 0.801 0.752
O 0.748 0.199 0.252
O 0.261 0.126 0.243
O 0.761 0.374 0.743
O 0.248 0.301 0.752
O 0.248 0.699 0.252
O 0.761 0.626 0.243
O 0.359 0.864 0.586
O 0.655 0.803 0.905
O 0.655 0.197 0.405
O 0.359 0.136 0.086
O 0.859 0.364 0.586
O 0.155 0.303 0.905
O 0.155 0.697 0.405
O 0.859 0.636 0.086
O 0.453 0.866 0.929
O 0.535 0.819 0.555
O 0.535 0.181 0.055
O 0.453 0.134 0.429
O 0.953 0.366 0.929
O 0.035 0.319 0.555
O 0.035 0.681 0.055
O 0.953 0.634 0.429
O 0.057 0.854 0.736
O 0.906 0.869 0.752
O 0.906 0.131 0.252
O 0.057 0.146 0.236
O 0.557 0.354 0.736
O 0.406 0.369 0.752
O 0.406 0.631 0.252
O 0.557 0.646 0.236

Values from the calculation:
Magnetization ... 0.00 μB per cell
Energy relative to the elements ... -2.884 eV/atom
Calculated volume ... 1096.4 Å³ per cell

Entry 3:
First-principles (GGA-PBE) data for a geometry-optimized Na4CaTaSi2PO12 structure, as listed in the Materials Project database.

Cell lengths 9.314, 9.314, 22.365 Å; angles 90.12, 89.88, 119.62 degrees
Element x y z (fractional)
Na 0.655 0.023 0.249
Na 0.375 0.360 0.242
Na 0.969 0.618 0.245
Na 0.640 0.625 0.742
Na 0.977 0.345 0.749
Na 0.382 0.031 0.745
Na 0.322 0.356 0.583
Na 0.042 0.693 0.575
Na 0.636 0.951 0.578
Na 0.307 0.958 0.075
Na 0.644 0.678 0.083
Na 0.049 0.364 0.078
Na 0.989 0.689 0.916
Na 0.709 0.026 0.908
Na 0.302 0.284 0.911
Na 0.974 0.291 0.408
Na 0.311 0.011 0.416
Na 0.716 0.698 0.411
Na 0.989 0.988 0.492
Na 0.012 0.011 0.992
Na 0.656 0.321 0.825
Na 0.679 0.344 0.325
Na 0.323 0.655 0.159
Na 0.345 0.677 0.659
Ca 0.999 0.999 0.348
Ca 0.001 0.001 0.848
Ca 0.665 0.332 0.682
Ca 0.668 0.335 0.182
Ca 0.332 0.666 0.015
Ca 0.334 0.668 0.515
Ta 0.999 0.001 0.648
Ta 0.999 0.001 0.148
Ta 0.666 0.334 0.982
Ta 0.666 0.334 0.482
Ta 0.332 0.668 0.315
Ta 0.332 0.668 0.815
Si 0.694 0.704 0.253
Si 0.010 0.306 0.253
Si 0.296 0.306 0.753
Si 0.694 0.990 0.753
Si 0.361 0.037 0.586
Si 0.677 0.639 0.587
Si 0.963 0.639 0.086
Si 0.361 0.323 0.087
Si 0.027 0.370 0.920
Si 0.344 0.972 0.920
Si 0.630 0.973 0.420
Si 0.028 0.656 0.420
P 0.290 0.986 0.251
P 0.014 0.710 0.751
P 0.956 0.319 0.584
P 0.681 0.044 0.084
P 0.623 0.652 0.917
P 0.348 0.377 0.417
O 0.224 0.017 0.308
O 0.800 0.776 0.312
O 0.990 0.208 0.313
O 0.224 0.200 0.812
O 0.983 0.776 0.808
O 0.792 0.010 0.813
O 0.806 0.970 0.695
O 0.164 0.195 0.695
O 0.032 0.832 0.696
O 0.805 0.836 0.195
O 0.030 0.194 0.195
O 0.168 0.968 0.196
O 0.891 0.350 0.642
O 0.466 0.110 0.645
O 0.657 0.542 0.647
O 0.890 0.534 0.145
O 0.650 0.109 0.142
O 0.458 0.343 0.147
O 0.473 0.303 0.028
O 0.830 0.528 0.028
O 0.699 0.165 0.030
O 0.472 0.170 0.528
O 0.697 0.527 0.528
O 0.835 0.301 0.530
O 0.557 0.683 0.975
O 0.133 0.443 0.979
O 0.324 0.875 0.980
O 0.557 0.867 0.479
O 0.317 0.443 0.475
O 0.125 0.676 0.480
O 0.139 0.636 0.361
O 0.497 0.861 0.361
O 0.365 0.498 0.363
O 0.139 0.503 0.861
O 0.364 0.861 0.861
O 0.502 0.635 0.863
O 0.001 0.814 0.414
O 0.818 0.013 0.414
O 0.211 0.201 0.408
O 0.987 0.182 0.914
O 0.186 0.999 0.914
O 0.799 0.789 0.908
O 0.951 0.146 0.587
O 0.182 0.043 0.589
O 0.857 0.820 0.588
O 0.957 0.818 0.089
O 0.854 0.049 0.087
O 0.180 0.143 0.088
O 0.668 0.147 0.747
O 0.485 0.346 0.747
O 0.877 0.534 0.741
O 0.654 0.515 0.247
O 0.853 0.332 0.247
O 0.466 0.123 0.241
O 0.618 0.479 0.920
O 0.849 0.376 0.922
O 0.523 0.153 0.922
O 0.624 0.151 0.422
O 0.521 0.382 0.420
O 0.847 0.477 0.422
O 0.334 0.480 0.081
O 0.152 0.680 0.080
O 0.544 0.867 0.075
O 0.320 0.848 0.580
O 0.520 0.666 0.581
O 0.133 0.456 0.575
O 0.285 0.813 0.253
O 0.516 0.710 0.256
O 0.190 0.487 0.255
O 0.290 0.484 0.756
O 0.187 0.715 0.753
O 0.513 0.810 0.755

Values from the calculation:
Magnetization ... 0.00 μB per cell
Energy relative to the elements ... -2.878 eV/atom
Calculated volume ... 1686.7 Å³ per cell